# TaBiP4O14

An optimized crystal structure of TaBiP4O14 (r2SCAN, Materials Project).

Cell: 8.590 8.428 8.442 Å, 90.00 91.28 90.00°
Fractional positions:
Ta 0.000 0.000 0.000
Ta 0.000 0.500 0.500
Bi 0.500 0.000 0.500
Bi 0.500 0.500 0.000
P 0.088 0.116 0.387
P 0.088 0.384 0.887
P 0.372 0.588 0.399
P 0.372 0.912 0.899
P 0.628 0.088 0.101
P 0.628 0.412 0.601
P 0.912 0.616 0.113
P 0.912 0.884 0.613
O 0.000 0.000 0.500
O 0.000 0.500 0.000
O 0.023 0.220 0.925
O 0.023 0.280 0.425
O 0.032 0.071 0.220
O 0.032 0.429 0.720
O 0.221 0.536 0.483
O 0.221 0.964 0.983
O 0.259 0.106 0.411
O 0.259 0.394 0.911
O 0.369 0.522 0.235
O 0.369 0.978 0.735
O 0.395 0.738 0.914
O 0.395 0.762 0.414
O 0.500 0.000 0.000
O 0.500 0.500 0.500
O 0.605 0.238 0.586
O 0.605 0.262 0.086
O 0.631 0.022 0.265
O 0.631 0.478 0.765
O 0.741 0.606 0.089
O 0.741 0.894 0.589
O 0.779 0.036 0.017
O 0.779 0.464 0.517
O 0.968 0.571 0.280
O 0.968 0.929 0.780
O 0.977 0.720 0.575
O 0.977 0.780 0.075

Properties
The magnetic moment comes out at 0.00 μB per atom. Its total energy is -13.7426 eV per atom. The energy relative to the elements is -2.4067 eV per atom.

# Bi10Pb6O21

An optimized crystal structure of Bi10Pb6O21 (r2SCAN, Materials Project).

Cell: 7.217 7.502 14.160 Å, 92.65 97.27 118.13°
Fractional positions:
Bi 0.009 0.317 0.072
Bi 0.017 0.238 0.546
Bi 0.152 0.933 0.188
Bi 0.247 0.512 0.324
Bi 0.435 0.228 0.975
Bi 0.565 0.772 0.025
Bi 0.753 0.488 0.676
Bi 0.848 0.067 0.812
Bi 0.983 0.762 0.454
Bi 0.991 0.683 0.928
Pb 0.230 0.983 0.709
Pb 0.307 0.523 0.793
Pb 0.477 0.211 0.442
Pb 0.523 0.789 0.558
Pb 0.693 0.477 0.207
Pb 0.770 0.017 0.291
O 0.014 0.917 0.325
O 0.032 0.679 0.623
O 0.043 0.177 0.195
O 0.090 0.596 0.211
O 0.165 0.261 0.880
O 0.190 0.964 0.027
O 0.214 0.052 0.531
O 0.284 0.755 0.427
O 0.310 0.749 0.899
O 0.401 0.410 0.083
O 0.500 0.500 0.500
O 0.599 0.590 0.917
O 0.690 0.251 0.101
O 0.716 0.245 0.573
O 0.786 0.948 0.469
O 0.810 0.036 0.973
O 0.835 0.739 0.120
O 0.910 0.404 0.789
O 0.957 0.823 0.805
O 0.968 0.321 0.377
O 0.986 0.083 0.675

Properties
The magnetic moment comes out at 0.00 μB per atom. Its total energy is -29.6169 eV per atom. The energy relative to the elements is -1.2884 eV per atom.

# BiPd2O4

An optimized crystal structure of BiPd2O4 (r2SCAN, Materials Project).

Cell: 5.700 6.092 6.413 Å, 114.53 95.89 111.68°
Fractional positions:
Bi 0.139 0.258 0.355
Bi 0.861 0.742 0.645
Pd 0.000 0.500 0.000
Pd 0.500 0.000 0.000
Pd 0.500 0.000 0.500
Pd 0.500 0.500 0.000
O 0.123 0.854 0.010
O 0.161 0.639 0.356
O 0.356 0.105 0.773
O 0.480 0.629 0.754
O 0.520 0.371 0.246
O 0.644 0.895 0.227
O 0.839 0.361 0.644
O 0.877 0.146 0.990

Properties
The magnetic moment comes out at 0.01 μB per atom. Its total energy is -19.2252 eV per atom. The energy relative to the elements is -0.8947 eV per atom.

# Bi2PdO4

An optimized crystal structure of Bi2PdO4 (r2SCAN, Materials Project).

Cell: 8.571 8.571 5.986 Å, 90.00 90.00 90.00°
Fractional positions:
Bi 0.080 0.580 0.250
Bi 0.080 0.920 0.750
Bi 0.420 0.580 0.750
Bi 0.420 0.920 0.250
Bi 0.580 0.080 0.750
Bi 0.580 0.420 0.250
Bi 0.920 0.080 0.250
Bi 0.920 0.420 0.750
Pd 0.250 0.250 0.081
Pd 0.250 0.250 0.581
Pd 0.750 0.750 0.419
Pd 0.750 0.750 0.919
O 0.039 0.144 0.590
O 0.039 0.356 0.090
O 0.144 0.039 0.090
O 0.144 0.461 0.590
O 0.356 0.039 0.590
O 0.356 0.461 0.090
O 0.461 0.144 0.090
O 0.461 0.356 0.590
O 0.539 0.644 0.410
O 0.539 0.856 0.910
O 0.644 0.539 0.910
O 0.644 0.961 0.410
O 0.856 0.539 0.410
O 0.856 0.961 0.910
O 0.961 0.644 0.910
O 0.961 0.856 0.410

Properties
The magnetic moment comes out at 0.00 μB per atom. Its total energy is -24.5367 eV per atom. The energy relative to the elements is -1.1288 eV per atom.

# PrBiO4

An optimized crystal structure of PrBiO4 (r2SCAN, Materials Project).

Cell: 7.895 5.661 7.957 Å, 90.00 97.90 90.00°
Fractional positions:
Pr 0.140 0.231 0.393
Pr 0.140 0.269 0.893
Pr 0.860 0.731 0.107
Pr 0.860 0.769 0.607
Bi 0.338 0.727 0.187
Bi 0.338 0.773 0.687
Bi 0.662 0.227 0.313
Bi 0.662 0.273 0.813
O 0.115 0.509 0.166
O 0.115 0.991 0.666
O 0.161 0.506 0.622
O 0.161 0.994 0.122
O 0.331 0.615 0.932
O 0.331 0.885 0.432
O 0.426 0.098 0.813
O 0.426 0.402 0.313
O 0.574 0.598 0.687
O 0.574 0.902 0.187
O 0.669 0.115 0.568
O 0.669 0.385 0.068
O 0.839 0.006 0.878
O 0.839 0.494 0.378
O 0.885 0.009 0.334
O 0.885 0.491 0.834

Properties
The magnetic moment comes out at 0.00 μB per atom. Its total energy is -20.7798 eV per atom. The energy relative to the elements is -2.1471 eV per atom.

# PrBiO4

An optimized crystal structure of PrBiO4 (r2SCAN, Materials Project).

Cell: 5.615 10.894 5.701 Å, 90.00 90.00 90.00°
Fractional positions:
Pr 0.196 0.250 0.250
Pr 0.304 0.750 0.250
Pr 0.696 0.250 0.750
Pr 0.804 0.750 0.750
Bi 0.250 0.000 0.702
Bi 0.250 0.500 0.798
Bi 0.750 0.000 0.298
Bi 0.750 0.500 0.202
O 0.017 0.616 0.052
O 0.017 0.884 0.448
O 0.119 0.629 0.572
O 0.119 0.871 0.928
O 0.381 0.129 0.928
O 0.381 0.371 0.572
O 0.483 0.116 0.448
O 0.483 0.384 0.052
O 0.517 0.616 0.948
O 0.517 0.884 0.552
O 0.619 0.629 0.428
O 0.619 0.871 0.072
O 0.881 0.129 0.072
O 0.881 0.371 0.428
O 0.983 0.116 0.552
O 0.983 0.384 0.948

Properties
The magnetic moment comes out at 0.00 μB per atom. Its total energy is -20.7611 eV per atom. The energy relative to the elements is -2.1284 eV per atom.

# Pr2BiO2

An optimized crystal structure of Pr2BiO2 (r2SCAN, Materials Project).

Cell: 7.601 7.601 7.601 Å, 149.16 149.16 44.17°
Fractional positions:
Pr 0.165 0.165 0.000
Pr 0.835 0.835 0.000
Bi 0.500 0.500 0.000
O 0.250 0.750 0.500
O 0.750 0.250 0.500

Properties
The magnetic moment comes out at 0.00 μB per atom. Its total energy is -28.6530 eV per atom. The energy relative to the elements is -2.8019 eV per atom.

# ReBi3O8

An optimized crystal structure of ReBi3O8 (r2SCAN, Materials Project).

Cell: 11.543 11.543 11.543 Å, 90.00 90.00 90.00°
Fractional positions:
Re 0.116 0.116 0.116
Re 0.120 0.880 0.380
Re 0.380 0.120 0.880
Re 0.384 0.884 0.616
Re 0.616 0.384 0.884
Re 0.620 0.620 0.620
Re 0.880 0.380 0.120
Re 0.884 0.616 0.384
Bi 0.111 0.145 0.644
Bi 0.116 0.848 0.862
Bi 0.138 0.616 0.652
Bi 0.144 0.389 0.855
Bi 0.145 0.644 0.111
Bi 0.152 0.362 0.384
Bi 0.348 0.638 0.884
Bi 0.355 0.356 0.611
Bi 0.356 0.611 0.355
Bi 0.362 0.384 0.152
Bi 0.384 0.152 0.362
Bi 0.389 0.855 0.144
Bi 0.611 0.355 0.356
Bi 0.616 0.652 0.138
Bi 0.638 0.884 0.348
Bi 0.644 0.111 0.145
Bi 0.645 0.856 0.889
Bi 0.652 0.138 0.616
Bi 0.848 0.862 0.116
Bi 0.855 0.144 0.389
Bi 0.856 0.889 0.645
Bi 0.862 0.116 0.848
Bi 0.884 0.348 0.638
Bi 0.889 0.645 0.856
O 0.003 0.741 0.968
O 0.003 0.743 0.727
O 0.029 0.029 0.029
O 0.032 0.503 0.759
O 0.033 0.967 0.467
O 0.056 0.857 0.245
O 0.062 0.115 0.257
O 0.115 0.257 0.062
O 0.143 0.745 0.444
O 0.216 0.284 0.716
O 0.227 0.497 0.257
O 0.231 0.731 0.769
O 0.241 0.532 0.997
O 0.243 0.773 0.997
O 0.243 0.938 0.615
O 0.245 0.056 0.857
O 0.255 0.944 0.357
O 0.257 0.062 0.115
O 0.257 0.227 0.497
O 0.259 0.468 0.497
O 0.269 0.269 0.269
O 0.273 0.503 0.757
O 0.284 0.716 0.216
O 0.357 0.255 0.944
O 0.385 0.743 0.562
O 0.438 0.885 0.757
O 0.444 0.143 0.745
O 0.467 0.033 0.967
O 0.468 0.497 0.259
O 0.471 0.971 0.529
O 0.497 0.257 0.227
O 0.497 0.259 0.468
O 0.503 0.757 0.273
O 0.503 0.759 0.032
O 0.529 0.471 0.971
O 0.532 0.997 0.241
O 0.533 0.533 0.533
O 0.556 0.643 0.755
O 0.562 0.385 0.743
O 0.615 0.243 0.938
O 0.643 0.755 0.556
O 0.716 0.216 0.284
O 0.727 0.003 0.743
O 0.731 0.769 0.231
O 0.741 0.968 0.003
O 0.743 0.562 0.385
O 0.743 0.727 0.003
O 0.745 0.444 0.143
O 0.755 0.556 0.643
O 0.757 0.273 0.503
O 0.757 0.438 0.885
O 0.759 0.032 0.503
O 0.769 0.231 0.731
O 0.773 0.997 0.243
O 0.784 0.784 0.784
O 0.857 0.245 0.056
O 0.885 0.757 0.438
O 0.938 0.615 0.243
O 0.944 0.357 0.255
O 0.967 0.467 0.033
O 0.968 0.003 0.741
O 0.971 0.529 0.471
O 0.997 0.241 0.532
O 0.997 0.243 0.773

Properties
The magnetic moment comes out at 0.00 μB per atom. Its total energy is -24.4945 eV per atom. The energy relative to the elements is -1.5197 eV per atom.

# Bi2Ru2O7

An optimized crystal structure of Bi2Ru2O7 (r2SCAN, Materials Project).

Cell: 7.270 7.270 7.270 Å, 60.00 60.00 60.00°
Fractional positions:
Bi 0.000 0.000 0.000
Bi 0.000 0.000 0.500
Bi 0.000 0.500 0.000
Bi 0.500 0.000 0.000
Ru 0.000 0.500 0.500
Ru 0.500 0.000 0.500
Ru 0.500 0.500 0.000
Ru 0.500 0.500 0.500
O 0.125 0.125 0.125
O 0.171 0.171 0.579
O 0.171 0.579 0.171
O 0.171 0.579 0.579
O 0.421 0.421 0.829
O 0.421 0.829 0.421
O 0.421 0.829 0.829
O 0.579 0.171 0.171
O 0.579 0.171 0.579
O 0.579 0.579 0.171
O 0.829 0.421 0.421
O 0.829 0.421 0.829
O 0.829 0.829 0.421
O 0.875 0.875 0.875

Properties
The magnetic moment comes out at 0.00 μB per atom. Its total energy is -20.3123 eV per atom. The energy relative to the elements is -1.2522 eV per atom.

# Bi2S2O

An optimized crystal structure of Bi2S2O (r2SCAN, Materials Project).

Cell: 3.954 3.954 14.051 Å, 90.00 90.00 90.00°
Fractional positions:
Bi 0.250 0.250 0.089
Bi 0.250 0.250 0.634
Bi 0.750 0.750 0.366
Bi 0.750 0.750 0.911
S 0.250 0.250 0.394
S 0.250 0.250 0.813
S 0.750 0.750 0.187
S 0.750 0.750 0.606
O 0.250 0.750 0.000
O 0.750 0.250 0.000

Properties
The magnetic moment comes out at 0.00 μB per atom. Its total energy is -28.5596 eV per atom. The energy relative to the elements is -0.7506 eV per atom.

# Bi2S3O12

An optimized crystal structure of Bi2S3O12 (r2SCAN, Materials Project).

Cell: 9.565 9.565 9.565 Å, 56.29 56.29 56.29°
Fractional positions:
Bi 0.142 0.142 0.142
Bi 0.350 0.350 0.350
Bi 0.650 0.650 0.650
Bi 0.858 0.858 0.858
S 0.030 0.462 0.756
S 0.244 0.970 0.538
S 0.462 0.756 0.030
S 0.538 0.244 0.970
S 0.756 0.030 0.462
S 0.970 0.538 0.244
O 0.027 0.589 0.799
O 0.117 0.276 0.862
O 0.130 0.493 0.563
O 0.138 0.883 0.724
O 0.157 0.514 0.196
O 0.196 0.157 0.514
O 0.201 0.973 0.411
O 0.276 0.862 0.117
O 0.411 0.201 0.973
O 0.437 0.870 0.507
O 0.486 0.804 0.843
O 0.493 0.563 0.130
O 0.507 0.437 0.870
O 0.514 0.196 0.157
O 0.563 0.130 0.493
O 0.589 0.799 0.027
O 0.724 0.138 0.883
O 0.799 0.027 0.589
O 0.804 0.843 0.486
O 0.843 0.486 0.804
O 0.862 0.117 0.276
O 0.870 0.507 0.437
O 0.883 0.724 0.138
O 0.973 0.411 0.201

Properties
The magnetic moment comes out at 0.00 μB per atom. Its total energy is -13.9885 eV per atom. The energy relative to the elements is -1.4722 eV per atom.

Please write out number 9 again, unchanged.
# Bi2Ru2O7

An optimized crystal structure of Bi2Ru2O7 (r2SCAN, Materials Project).

Cell: 7.270 7.270 7.270 Å, 60.00 60.00 60.00°
Fractional positions:
Bi 0.000 0.000 0.000
Bi 0.000 0.000 0.500
Bi 0.000 0.500 0.000
Bi 0.500 0.000 0.000
Ru 0.000 0.500 0.500
Ru 0.500 0.000 0.500
Ru 0.500 0.500 0.000
Ru 0.500 0.500 0.500
O 0.125 0.125 0.125
O 0.171 0.171 0.579
O 0.171 0.579 0.171
O 0.171 0.579 0.579
O 0.421 0.421 0.829
O 0.421 0.829 0.421
O 0.421 0.829 0.829
O 0.579 0.171 0.171
O 0.579 0.171 0.579
O 0.579 0.579 0.171
O 0.829 0.421 0.421
O 0.829 0.421 0.829
O 0.829 0.829 0.421
O 0.875 0.875 0.875

Properties
The magnetic moment comes out at 0.00 μB per atom. Its total energy is -20.3123 eV per atom. The energy relative to the elements is -1.2522 eV per atom.

Question: Among the records above, which one has the lowest energy relative to the elements?
Answer: Pr2BiO2

Question: Among the records above, which one has the highest magnetic moment?
Answer: BiPd2O4